{"formula": "Cs2CeAgI6", "functional": "GGA-PBE", "state": "relaxed", "magmom_total_mub_per_cell": 0.999, "crystal_system": "cubic", "e_form_ev_per_fu": -14.57, "cell": [[0.0000, 6.1845, 6.1845], [6.1845, 0.0000, 6.1845], [6.1845, 6.1845, 0.0000]], "species": ["Cs", "Cs", "Ce", "Ag", "I", "I", "I", "I", "I", "I"], "frac_coords": [[0.2500, 0.2500, 0.2500], [0.7500, 0.7500, 0.7500], [0.0000, 0.0000, 0.0000], [0.5000, 0.5000, 0.5000], [0.2531, 0.2531, 0.7469], [0.2531, 0.7469, 0.2531], [0.2531, 0.7469, 0.7469], [0.7469, 0.2531, 0.2531], [0.7469, 0.2531, 0.7469], [0.7469, 0.7469, 0.2531]]}

=====

{"formula": "CeCu5Ag", "functional": "GGA-PBE", "state": "relaxed", "magmom_total_mub_per_cell": 1.030, "crystal_system": "orthorhombic", "e_form_ev_per_fu": -0.87, "cell": [[8.2389, 0.0000, 0.0000], [0.0000, 5.0474, 0.0000], [0.0000, 0.0000, 10.3665]], "species": ["Ce", "Ce", "Ce", "Ce", "Cu", "Cu", "Cu", "Cu", "Cu", "Cu", "Cu", "Cu", "Cu", "Cu", "Cu", "Cu", "Cu", "Cu", "Cu", "Cu", "Cu", "Cu", "Cu", "Cu", "Ag", "Ag", "Ag", "Ag"], "frac_coords": [[0.2425, 0.2500, 0.0643], [0.2575, 0.7500, 0.5643], [0.7425, 0.2500, 0.4357], [0.7575, 0.7500, 0.9357], [0.0556, 0.7500, 0.1051], [0.0651, 0.0014, 0.3125], [0.0651, 0.4986, 0.3125], [0.0903, 0.2500, 0.5162], [0.1853, 0.2500, 0.7479], [0.3147, 0.7500, 0.2479], [0.4097, 0.7500, 0.0162], [0.4349, 0.5014, 0.8125], [0.4349, 0.9986, 0.8125], [0.4444, 0.2500, 0.6051], [0.5556, 0.7500, 0.3949], [0.5651, 0.0014, 0.1875], [0.5651, 0.4986, 0.1875], [0.5903, 0.2500, 0.9838], [0.6853, 0.2500, 0.7521], [0.8147, 0.7500, 0.2521], [0.9097, 0.7500, 0.4838], [0.9349, 0.5014, 0.6875], [0.9349, 0.9986, 0.6875], [0.9444, 0.2500, 0.8949], [0.1408, 0.7500, 0.8608], [0.3592, 0.2500, 0.3608], [0.6408, 0.7500, 0.6392], [0.8592, 0.2500, 0.1392]]}